## CaTmMn2O6 (PBE with a Hubbard U)

Data for a relaxed CaTmMn2O6 crystal.

Results
V	11.124	A^3/atom
energy above the most stable polymorph in this dataset	3	meV/atom
ΔH_f (0 K)	-2.7953	eV per atom
density	6.2	g/cm3
space group	Pmn2_1 (31)
DFT total energy	-149.98	eV/cell

Cell and atoms, written as POSCAR:
```
CaTmMn2O6
1.0
-2.399 2.427 4.072
3.045 -2.972 3.566
5.308 5.359 -0.066
Ca Tm Mn O
2 2 4 12
direct
0.511 0.195 0.500
0.011 0.805 0.000
0.981 0.680 0.500
0.481 0.320 0.000
0.499 0.755 0.750
0.999 0.245 0.250
0.499 0.755 0.250
0.999 0.245 0.750
0.389 0.778 0.500
0.087 0.287 0.500
0.587 0.713 0.000
0.889 0.222 0.000
0.707 0.460 0.701
0.809 0.942 0.303
0.309 0.058 0.197
0.207 0.540 0.799
0.309 0.058 0.803
0.207 0.540 0.201
0.707 0.460 0.299
0.809 0.942 0.697
```